w:
Material: Li2Mn3O6
Method: DFT, PBE with a Hubbard U
State: optimized geometry

Space group: No. 64

Cell and atoms, written as POSCAR:
```
Li2Mn3O6
1.0
4.496 -2.591 0.000
4.496 2.591 0.000
0.000 0.000 10.251
Li Mn O
4 6 12
Direct
0.153 0.347 0.250
0.347 0.153 0.750
0.653 0.847 0.250
0.847 0.653 0.750
0.000 0.000 0.000
0.164 0.164 0.500
0.336 0.336 0.000
0.500 0.500 0.500
0.664 0.664 0.000
0.836 0.836 0.500
0.022 0.342 0.893
0.158 0.478 0.607
0.173 0.827 0.408
0.327 0.673 0.908
0.342 0.022 0.107
0.478 0.158 0.393
0.522 0.842 0.607
0.658 0.978 0.893
0.673 0.327 0.092
0.827 0.173 0.592
0.842 0.522 0.393
0.978 0.658 0.107
```


x:
Material: Li2Mn3O6
Method: DFT, PBE with a Hubbard U
State: optimized geometry

Space group: No. 1

Cell and atoms, written as POSCAR:
```
Li2Mn3O6
1.0
6.553 0.000 0.000
0.889 6.574 0.000
1.541 1.771 15.790
Li Mn O
12 18 36
Direct
0.000 0.000 0.000
0.001 0.005 0.325
0.164 0.838 0.829
0.173 0.831 0.496
0.334 0.667 0.995
0.336 0.668 0.329
0.342 0.664 0.663
0.499 0.504 0.162
0.669 0.334 0.662
0.671 0.333 0.992
0.672 0.330 0.332
0.997 0.004 0.661
0.089 0.420 0.578
0.090 0.422 0.246
0.091 0.426 0.912
0.241 0.239 0.080
0.246 0.241 0.414
0.250 0.246 0.747
0.426 0.093 0.911
0.426 0.094 0.244
0.434 0.098 0.578
0.582 0.913 0.412
0.582 0.914 0.080
0.583 0.905 0.747
0.756 0.762 0.577
0.759 0.757 0.913
0.761 0.759 0.244
0.904 0.570 0.748
0.911 0.575 0.414
0.916 0.573 0.081
0.024 0.689 0.298
0.037 0.717 0.949
0.040 0.698 0.609
0.151 0.147 0.213
0.152 0.146 0.547
0.161 0.142 0.864
0.180 0.520 0.459
0.183 0.519 0.781
0.196 0.519 0.114
0.300 0.960 0.376
0.300 0.968 0.715
0.315 0.977 0.027
0.358 0.356 0.633
0.365 0.359 0.950
0.371 0.375 0.282
0.477 0.819 0.545
0.478 0.820 0.879
0.492 0.814 0.199
0.517 0.184 0.791
0.521 0.188 0.112
0.522 0.189 0.444
0.632 0.637 0.048
0.641 0.633 0.699
0.648 0.648 0.360
0.691 0.020 0.966
0.698 0.034 0.625
0.700 0.026 0.284
0.807 0.486 0.214
0.815 0.482 0.881
0.822 0.484 0.534
0.851 0.848 0.124
0.863 0.847 0.447
0.863 0.849 0.779
0.972 0.308 0.374
0.975 0.307 0.033
0.981 0.313 0.692
```


Most stable: x


w:
Material: V2ZnO4
Method: DFT, PBE with a Hubbard U
State: optimized geometry

Space group: No. 8

Cell and atoms, written as POSCAR:
```
V2ZnO4
1.0
5.272 -3.039 0.000
5.272 3.039 0.000
-3.243 0.000 19.838
V Zn O
16 8 32
Direct
0.000 0.000 0.000
0.028 0.528 0.595
0.032 0.527 0.094
0.253 0.253 0.753
0.275 0.778 0.344
0.280 0.780 0.844
0.401 0.401 0.217
0.501 0.501 0.502
0.527 0.032 0.094
0.528 0.028 0.595
0.555 0.555 0.686
0.653 0.653 0.968
0.749 0.749 0.249
0.778 0.275 0.344
0.780 0.280 0.844
0.805 0.805 0.437
0.028 0.028 0.595
0.055 0.055 0.188
0.154 0.154 0.469
0.275 0.275 0.344
0.304 0.304 0.937
0.527 0.527 0.094
0.779 0.779 0.845
0.902 0.902 0.719
0.085 0.085 0.290
0.088 0.088 0.788
0.093 0.608 0.785
0.109 0.587 0.282
0.196 0.718 0.654
0.218 0.688 0.155
0.224 0.224 0.652
0.228 0.228 0.156
0.336 0.336 0.536
0.337 0.337 0.039
0.338 0.859 0.534
0.362 0.842 0.033
0.450 0.962 0.403
0.470 0.470 0.401
0.472 0.937 0.904
0.480 0.480 0.904
0.579 0.579 0.282
0.587 0.109 0.282
0.587 0.587 0.784
0.608 0.093 0.785
0.688 0.218 0.155
0.718 0.196 0.654
0.720 0.720 0.150
0.720 0.720 0.652
0.830 0.830 0.031
0.833 0.833 0.537
0.842 0.362 0.033
0.859 0.338 0.534
0.937 0.472 0.904
0.962 0.450 0.403
0.967 0.967 0.402
0.970 0.970 0.902
```


x:
Material: V2ZnO4
Method: DFT, PBE with a Hubbard U
State: optimized geometry

Space group: No. 8

Cell and atoms, written as POSCAR:
```
V2ZnO4
1.0
5.243 -3.042 0.000
5.243 3.042 0.000
-3.536 0.000 9.922
V Zn O
8 4 16
Direct
0.000 0.000 0.000
0.244 0.751 0.246
0.252 0.748 0.745
0.315 0.315 0.935
0.498 0.498 0.500
0.748 0.252 0.745
0.751 0.244 0.246
0.814 0.814 0.435
0.181 0.181 0.557
0.247 0.247 0.247
0.681 0.681 0.058
0.747 0.747 0.745
0.113 0.113 0.357
0.115 0.115 0.869
0.119 0.647 0.871
0.141 0.622 0.370
0.345 0.876 0.123
0.380 0.380 0.132
0.380 0.847 0.624
0.386 0.386 0.623
0.610 0.610 0.856
0.611 0.611 0.370
0.622 0.141 0.370
0.647 0.119 0.871
0.847 0.380 0.624
0.876 0.345 0.123
0.885 0.885 0.128
0.885 0.885 0.633
```


y:
Material: V2ZnO4
Method: DFT, PBE with a Hubbard U
State: optimized geometry

Space group: No. 62

Cell and atoms, written as POSCAR:
```
V2ZnO4
1.0
9.266 0.000 0.000
0.000 2.973 0.000
0.000 0.000 10.503
V Zn O
8 4 16
Direct
0.063 0.250 0.121
0.092 0.250 0.603
0.408 0.750 0.103
0.437 0.750 0.621
0.563 0.250 0.379
0.592 0.250 0.897
0.908 0.750 0.397
0.937 0.750 0.879
0.247 0.750 0.854
0.253 0.250 0.354
0.747 0.750 0.646
0.753 0.250 0.146
0.045 0.750 0.718
0.090 0.250 0.930
0.122 0.750 0.463
0.202 0.750 0.177
0.298 0.250 0.677
0.378 0.250 0.963
0.410 0.750 0.430
0.455 0.250 0.218
0.545 0.750 0.782
0.590 0.250 0.570
0.622 0.750 0.037
0.702 0.750 0.323
0.798 0.250 0.823
0.878 0.250 0.537
0.910 0.750 0.070
0.955 0.250 0.282
```


Most stable: x


w:
Material: Li2TiVO4
Method: DFT, PBE with a Hubbard U
State: optimized geometry

Space group: No. 12

Cell and atoms, written as POSCAR:
```
Li2TiVO4
1.0
5.167 -5.932 0.000
5.167 5.932 0.000
-3.455 0.000 4.941
Li Ti V O
8 4 4 16
Direct
0.000 0.500 0.000
0.124 0.876 0.000
0.252 0.252 0.002
0.374 0.626 0.000
0.500 0.000 0.000
0.626 0.374 0.000
0.748 0.748 0.998
0.876 0.124 0.000
0.000 0.500 0.500
0.258 0.258 0.502
0.500 0.000 0.500
0.742 0.742 0.498
0.120 0.880 0.500
0.372 0.628 0.500
0.628 0.372 0.500
0.880 0.120 0.500
0.015 0.015 0.268
0.125 0.376 0.265
0.126 0.374 0.732
0.231 0.739 0.730
0.261 0.769 0.270
0.374 0.126 0.732
0.376 0.125 0.265
0.488 0.488 0.735
0.512 0.512 0.265
0.624 0.875 0.735
0.626 0.874 0.268
0.739 0.231 0.730
0.769 0.261 0.270
0.874 0.626 0.268
0.875 0.624 0.735
0.985 0.985 0.732
```


x:
Material: Li2TiVO4
Method: DFT, PBE with a Hubbard U
State: optimized geometry

Cell and atoms, written as POSCAR:
```
Li2TiVO4
1.0
1.462 0.857 4.851
-2.921 5.194 -0.037
-6.173 -6.854 4.934
O V Ti Li
16 4 4 8
Direct
0.105 0.316 0.632
0.135 0.318 0.135
0.395 0.434 0.868
0.635 0.068 0.635
0.365 0.432 0.365
0.605 0.566 0.132
0.135 0.818 0.135
0.635 0.568 0.635
0.395 0.934 0.868
0.865 0.682 0.865
0.605 0.066 0.132
0.105 0.816 0.632
0.895 0.184 0.368
0.365 0.932 0.365
0.865 0.182 0.865
0.895 0.684 0.368
0.250 0.125 0.750
0.250 0.625 0.750
0.750 0.875 0.250
0.750 0.375 0.250
0.750 0.875 0.750
0.250 0.625 0.250
0.250 0.125 0.250
0.750 0.375 0.750
0.000 0.000 0.000
0.000 0.500 0.500
0.500 0.250 0.000
0.000 0.500 0.000
0.500 0.750 0.000
0.000 0.000 0.500
0.500 0.250 0.500
0.500 0.750 0.500
```


Most stable: x


w:
Material: BaCaEuWO6
Method: DFT, PBE with a Hubbard U
State: optimized geometry

Space group: No. 2

Cell and atoms, written as POSCAR:
```
BaCaEuWO6
1.0
5.932 0.000 0.000
-0.030 5.957 0.000
-0.066 -0.109 8.390
Ba Ca Eu W O
2 2 2 2 12
Direct
0.004 0.025 0.251
0.996 0.975 0.749
0.000 0.500 0.500
0.500 0.000 0.000
0.494 0.540 0.253
0.506 0.460 0.747
0.000 0.500 0.000
0.500 0.000 0.500
0.086 0.502 0.773
0.197 0.759 0.038
0.240 0.800 0.471
0.261 0.306 0.045
0.313 0.267 0.459
0.442 0.035 0.729
0.558 0.965 0.271
0.687 0.733 0.541
0.739 0.694 0.955
0.760 0.200 0.529
0.803 0.241 0.962
0.914 0.498 0.227
```


x:
Material: BaCaEuWO6
Method: DFT, PBE with a Hubbard U
State: optimized geometry

Space group: No. 216

Cell and atoms, written as POSCAR:
```
BaCaEuWO6
1.0
0.000 4.297 4.297
4.297 0.000 4.297
4.297 4.297 0.000
Ba Ca Eu W O
1 1 1 1 6
Direct
0.000 0.000 0.000
0.500 0.500 0.500
0.250 0.250 0.250
0.750 0.750 0.750
0.521 0.521 0.979
0.521 0.979 0.521
0.521 0.979 0.979
0.979 0.521 0.521
0.979 0.521 0.979
0.979 0.979 0.521
```


Most stable: w